Record 1
First-principles (GGA-PBE) data for a geometry-optimized MgFe4As4S4 structure, as listed in the Materials Project.

Cell: 5.867 5.980 5.994 Å, 108.06 92.06 88.91°
Positions (direct):
Mg1 0.720 0.093 0.421
Fe1 0.488 0.715 0.213
Fe2 0.002 0.281 0.254
Fe3 0.496 0.286 0.794
Fe4 0.013 0.740 0.716
As1 0.619 0.836 0.653
As2 0.137 0.147 0.869
As3 0.318 0.135 0.376
As4 0.892 0.824 0.093
S1 0.635 0.357 0.162
S2 0.135 0.643 0.326
S3 0.365 0.647 0.836
S4 0.884 0.390 0.705

## Properties
Symmetry: No. 1
Energy of formation, eV/f.u.: -4.22
V, Å³/atom: 15.4

***

Record 2
First-principles (GGA-PBE) data for a geometry-optimized MgFe4As4S4 structure, as listed in the Materials Project.

Cell: 5.731 6.099 6.039 Å, 109.81 88.82 91.18°
Positions (direct):
Mg1 0.028 0.488 0.010
Fe1 0.521 0.749 0.267
Fe2 0.020 0.265 0.283
Fe3 0.525 0.231 0.758
Fe4 0.026 0.714 0.740
As1 0.669 0.839 0.651
As2 0.187 0.083 0.879
As3 0.378 0.141 0.373
As4 0.862 0.894 0.148
S1 0.643 0.360 0.164
S2 0.175 0.656 0.388
S3 0.405 0.620 0.860
S4 0.870 0.325 0.636

## Properties
Symmetry: No. 1
Energy of formation, eV/f.u.: -5.45
V, Å³/atom: 15.3

***

Record 3
First-principles (GGA-PBE) data for a geometry-optimized MgFe4As4S4 structure, as listed in the Materials Project.

Cell: 5.712 6.092 6.023 Å, 109.39 91.19 88.94°
Positions (direct):
Mg1 0.484 0.500 0.495
Fe1 0.490 0.735 0.225
Fe2 0.992 0.270 0.270
Fe3 0.496 0.268 0.770
Fe4 0.994 0.734 0.727
As1 0.655 0.900 0.628
As2 0.134 0.141 0.868
As3 0.328 0.099 0.370
As4 0.851 0.864 0.126
S1 0.648 0.347 0.126
S2 0.116 0.644 0.335
S3 0.339 0.658 0.870
S4 0.866 0.360 0.659

## Properties
Symmetry: No. 1
Energy of formation, eV/f.u.: -5.46
V, Å³/atom: 15.2

***

Record 4
First-principles (GGA-PBE) data for a geometry-optimized MnFeAs structure, as listed in the Materials Project.

Cell: 3.715 3.715 5.920 Å, 90.00 90.00 90.00°
Positions (direct):
Mn1 0.500 0.000 0.322
Mn2 0.000 0.500 0.678
Fe1 0.500 0.500 0.000
Fe2 0.000 0.000 0.000
As1 0.500 0.000 0.749
As2 0.000 0.500 0.251

## Properties
Symmetry: No. 129
Energy of formation, eV/f.u.: -0.43
V, Å³/atom: 13.6

***

Record 5
First-principles (GGA-PBE) data for a geometry-optimized MnFeAs structure, as listed in the Materials Project.

Cell: 6.263 6.263 3.450 Å, 90.00 90.00 120.00°
Positions (direct):
Mn1 0.595 0.000 0.500
Mn2 0.405 0.405 0.500
Mn3 0.000 0.595 0.500
Fe1 0.255 0.000 0.000
Fe2 0.745 0.745 0.000
Fe3 0.000 0.255 0.000
As1 0.333 0.667 0.000
As2 0.667 0.333 0.000
As3 0.000 0.000 0.500

## Properties
Symmetry: No. 189
Energy of formation, eV/f.u.: -0.60
V, Å³/atom: 13.0

***

Record 6
First-principles (GGA-PBE) data for a geometry-optimized Mn3FeAs4 structure, as listed in the Materials Project.

Cell: 3.473 5.427 6.021 Å, 89.81 90.00 90.00°
Positions (direct):
Mn1 0.000 0.008 0.806
Mn2 0.500 0.498 0.303
Mn3 0.500 0.999 0.193
Fe1 0.000 0.502 0.695
As1 0.000 0.697 0.078
As2 0.000 0.196 0.422
As3 0.500 0.309 0.912
As4 0.500 0.792 0.591

## Properties
Symmetry: No. 6
Energy of formation, eV/f.u.: -1.98
V, Å³/atom: 14.2

***

Record 7
First-principles (GGA-PBE) data for a geometry-optimized FeMoAs2 structure, as listed in the Materials Project.

Cell: 3.361 5.812 6.281 Å, 90.00 90.00 90.00°
Positions (direct):
Fe1 0.250 0.509 0.312
Fe2 0.250 0.009 0.188
Mo1 0.750 0.496 0.691
Mo2 0.750 0.996 0.809
As1 0.750 0.306 0.086
As2 0.750 0.806 0.414
As3 0.250 0.690 0.945
As4 0.250 0.190 0.555

## Properties
Symmetry: No. 26
Energy of formation, eV/f.u.: -0.70
V, Å³/atom: 15.3

***

Record 8
First-principles (GGA-PBE) data for a geometry-optimized NdFe4As12 structure, as listed in the Materials Project.

Cell: 7.242 7.242 7.242 Å, 109.47 109.47 109.47°
Positions (direct):
Nd1 0.000 0.000 0.000
Fe1 0.500 0.500 0.500
Fe2 0.500 0.000 0.000
Fe3 0.000 0.500 0.000
Fe4 0.000 0.000 0.500
As1 0.844 0.658 0.501
As2 0.156 0.342 0.499
As3 0.156 0.658 0.814
As4 0.844 0.342 0.186
As5 0.658 0.501 0.844
As6 0.342 0.499 0.156
As7 0.658 0.814 0.156
As8 0.342 0.186 0.844
As9 0.501 0.844 0.658
As10 0.499 0.156 0.342
As11 0.186 0.844 0.342
As12 0.814 0.156 0.658

## Properties
Symmetry: No. 204
Energy of formation, eV/f.u.: -6.35
V, Å³/atom: 17.2

***

Record 9
First-principles (GGA-PBE) data for a geometry-optimized Nd6Fe13As structure, as listed in the Materials Project.

Cell: 7.999 7.999 12.832 Å, 108.16 108.16 90.00°
Positions (direct):
Nd1 0.607 0.607 0.214
Nd2 0.107 0.107 0.214
Nd3 0.393 0.393 0.786
Nd4 0.893 0.893 0.786
Nd5 0.977 0.477 0.624
Nd6 0.647 0.147 0.624
Nd7 0.147 0.977 0.624
Nd8 0.477 0.647 0.624
Nd9 0.023 0.523 0.376
Nd10 0.353 0.853 0.376
Nd11 0.853 0.023 0.376
Nd12 0.523 0.353 0.376
Fe1 0.000 0.500 0.000
Fe2 0.500 0.000 0.000
Fe3 0.709 0.566 0.000
Fe4 0.291 0.434 0.000
Fe5 0.791 0.066 0.000
Fe6 0.209 0.934 0.000
Fe7 0.566 0.291 0.000
Fe8 0.434 0.709 0.000
Fe9 0.066 0.209 0.000
Fe10 0.934 0.791 0.000
Fe11 0.119 0.619 0.880
Fe12 0.761 0.261 0.880
Fe13 0.261 0.119 0.880
Fe14 0.619 0.761 0.880
Fe15 0.881 0.381 0.120
Fe16 0.239 0.739 0.120
Fe17 0.739 0.881 0.120
Fe18 0.381 0.239 0.120
Fe19 0.291 0.791 0.810
Fe20 0.519 0.019 0.810
Fe21 0.019 0.291 0.810
Fe22 0.791 0.519 0.810
Fe23 0.709 0.209 0.190
Fe24 0.481 0.981 0.190
Fe25 0.981 0.709 0.190
Fe26 0.209 0.481 0.190
As1 0.250 0.250 0.500
As2 0.750 0.750 0.500

## Properties
Symmetry: No. 140
Energy of formation, eV/f.u.: -2.61
V, Å³/atom: 18.4

***

Record 10
First-principles (GGA-PBE) data for a geometry-optimized FeNiAs structure, as listed in the Materials Project.

Cell: 5.992 5.992 3.564 Å, 90.00 90.00 118.72°
Positions (direct):
Fe1 0.599 0.599 0.500
Fe2 0.000 0.407 0.500
Fe3 0.407 0.000 0.500
Ni1 0.247 0.247 0.000
Ni2 0.004 0.744 0.000
Ni3 0.744 0.004 0.000
As1 0.663 0.341 0.000
As2 0.341 0.663 0.000
As3 0.994 0.994 0.500

## Properties
Symmetry: No. 38
Energy of formation, eV/f.u.: -0.38
V, Å³/atom: 12.5

***

Record 11
First-principles (GGA-PBE) data for a geometry-optimized FeNiAs4 structure, as listed in the Materials Project.

Cell: 3.109 5.165 5.933 Å, 89.86 90.00 90.00°
Positions (direct):
Fe1 0.500 0.500 0.500
Ni1 0.000 0.000 0.000
As1 0.500 0.317 0.861
As2 0.500 0.683 0.139
As3 0.000 0.812 0.632
As4 0.000 0.188 0.368

## Properties
Symmetry: No. 10
Energy of formation, eV/f.u.: -1.55
V, Å³/atom: 15.9

***

Record 12
First-principles (GGA-PBE) data for a geometry-optimized Fe3NiAs8 structure, as listed in the Materials Project.

Cell: 2.979 5.269 11.966 Å, 89.99 90.00 90.00°
Positions (direct):
Fe1 0.500 0.502 0.252
Fe2 0.500 0.498 0.748
Fe3 0.000 0.000 0.000
Ni1 0.000 0.000 0.500
As1 0.500 0.318 0.069
As2 0.500 0.323 0.571
As3 0.500 0.677 0.429
As4 0.500 0.682 0.931
As5 0.000 0.816 0.180
As6 0.000 0.816 0.685
As7 0.000 0.184 0.315
As8 0.000 0.184 0.820

## Properties
Symmetry: No. 10
Energy of formation, eV/f.u.: -3.13
V, Å³/atom: 15.6

***

Record 13
First-principles (GGA-PBE) data for a geometry-optimized FeNi2As2 structure, as listed in the Materials Project.

Cell: 6.959 6.959 6.959 Å, 128.59 120.17 82.75°
Positions (direct):
Fe1 0.500 0.853 0.353
Fe2 0.793 0.241 0.449
Fe3 0.207 0.656 0.449
Ni1 0.748 0.505 0.252
Ni2 0.252 0.505 0.757
Ni3 0.378 0.249 0.372
Ni4 0.877 0.249 0.872
Ni5 0.123 0.995 0.372
Ni6 0.622 0.995 0.872
As1 0.000 0.250 0.250
As2 0.500 0.255 0.755
As3 0.416 0.916 0.000
As4 0.916 0.916 0.499
As5 0.084 0.583 0.000
As6 0.584 0.583 0.499

## Properties
Symmetry: No. 44
Energy of formation, eV/f.u.: -0.78
V, Å³/atom: 14.6

***

Record 14
First-principles (GGA-PBE) data for a geometry-optimized Fe2AsP structure, as listed in the Materials Project.

Cell: 3.158 5.301 5.912 Å, 90.00 90.00 90.00°
Positions (direct):
Fe1 0.500 0.497 0.043
Fe2 0.500 0.997 0.957
Fe3 0.000 0.495 0.442
Fe4 0.000 0.995 0.558
As1 0.500 0.307 0.679
As2 0.500 0.807 0.321
P1 0.000 0.701 0.824
P2 0.000 0.201 0.176

## Properties
Symmetry: No. 26
Energy of formation, eV/f.u.: -1.51
V, Å³/atom: 12.4

***

Record 15
First-principles (GGA-PBE) data for a geometry-optimized SrFe2AsP structure, as listed in the Materials Project.

Cell: 3.881 3.881 6.426 Å, 72.42 72.42 90.00°
Positions (direct):
Sr1 0.004 0.004 0.992
Fe1 0.244 0.744 0.513
Fe2 0.744 0.244 0.513
As1 0.354 0.354 0.293
P1 0.655 0.655 0.689

## Properties
Symmetry: No. 107
Energy of formation, eV/f.u.: -3.40
V, Å³/atom: 17.5

***

Record 16
First-principles (GGA-PBE) data for a geometry-optimized PrFe4As12 structure, as listed in the Materials Project.

Cell: 7.259 7.259 7.259 Å, 109.47 109.47 109.47°
Positions (direct):
Pr1 0.000 0.000 0.000
Fe1 0.000 0.000 0.500
Fe2 0.500 0.000 0.000
Fe3 0.000 0.500 0.000
Fe4 0.500 0.500 0.500
As1 0.343 0.186 0.843
As2 0.657 0.814 0.157
As3 0.657 0.501 0.843
As4 0.343 0.499 0.157
As5 0.186 0.843 0.343
As6 0.814 0.157 0.657
As7 0.501 0.843 0.657
As8 0.499 0.157 0.343
As9 0.843 0.343 0.186
As10 0.157 0.657 0.814
As11 0.843 0.657 0.501
As12 0.157 0.343 0.499

## Properties
Symmetry: No. 204
Energy of formation, eV/f.u.: -6.37
V, Å³/atom: 17.3

***

Record 17
First-principles (GGA-PBE) data for a geometry-optimized Pr6Fe13As structure, as listed in the Materials Project.

Cell: 12.893 12.893 12.893 Å, 143.78 143.78 52.16°
Positions (direct):
Pr1 0.607 0.607 0.000
Pr2 0.107 0.107 0.000
Pr3 0.393 0.393 0.000
Pr4 0.893 0.893 0.000
Pr5 0.477 0.977 0.830
Pr6 0.147 0.647 0.170
Pr7 0.977 0.147 0.500
Pr8 0.647 0.477 0.500
Pr9 0.523 0.023 0.170
Pr10 0.853 0.353 0.830
Pr11 0.023 0.853 0.500
Pr12 0.353 0.523 0.500
Fe1 0.500 0.000 0.500
Fe2 0.000 0.500 0.500
Fe3 0.566 0.709 0.276
Fe4 0.434 0.291 0.724
Fe5 0.066 0.791 0.857
Fe6 0.934 0.209 0.143
Fe7 0.291 0.566 0.857
Fe8 0.709 0.434 0.143
Fe9 0.209 0.066 0.276
Fe10 0.791 0.934 0.724
Fe11 0.620 0.120 0.858
Fe12 0.262 0.762 0.142
Fe13 0.120 0.262 0.500
Fe14 0.762 0.620 0.500
Fe15 0.380 0.880 0.142
Fe16 0.738 0.238 0.858
Fe17 0.880 0.738 0.500
Fe18 0.238 0.380 0.500
Fe19 0.793 0.293 0.274
Fe20 0.019 0.519 0.726
Fe21 0.293 0.019 0.500
Fe22 0.519 0.793 0.500
Fe23 0.207 0.707 0.726
Fe24 0.981 0.481 0.274
Fe25 0.707 0.981 0.500
Fe26 0.481 0.207 0.500
As1 0.250 0.250 0.000
As2 0.750 0.750 0.000

## Properties
Symmetry: No. 140
Energy of formation, eV/f.u.: -2.34
V, Å³/atom: 18.6

***

Record 18
First-principles (GGA-PBE) data for a geometry-optimized Fe2Re5As12 structure, as listed in the Materials Project.

Cell: 3.118 12.854 15.844 Å, 90.00 90.00 90.00°
Positions (direct):
Fe1 0.500 0.127 0.345
Fe2 0.500 0.873 0.655
Fe3 0.000 0.373 0.845
Fe4 0.000 0.627 0.155
Re1 0.500 0.317 0.104
Re2 0.500 0.683 0.896
Re3 0.000 0.183 0.604
Re4 0.000 0.817 0.396
Re5 0.500 0.916 0.261
Re6 0.500 0.084 0.739
Re7 0.000 0.584 0.761
Re8 0.000 0.416 0.239
Re9 0.500 0.500 0.500
Re10 0.000 0.000 0.000
As1 0.500 0.905 0.097
As2 0.500 0.095 0.903
As3 0.000 0.595 0.597
As4 0.000 0.405 0.403
As5 0.500 0.570 0.260
As6 0.500 0.430 0.740
As7 0.000 0.930 0.760
As8 0.000 0.070 0.240
As9 0.500 0.656 0.406
As10 0.500 0.344 0.594
As11 0.000 0.844 0.906
As12 0.000 0.156 0.094
As13 0.500 0.970 0.421
As14 0.500 0.030 0.579
As15 0.000 0.530 0.921
As16 0.000 0.470 0.079
As17 0.500 0.708 0.059
As18 0.500 0.292 0.941
As19 0.000 0.792 0.559
As20 0.000 0.208 0.441
As21 0.500 0.729 0.741
As22 0.500 0.271 0.259
As23 0.000 0.771 0.241
As24 0.000 0.229 0.759

## Properties
Symmetry: No. 58
Energy of formation, eV/f.u.: -2.46
V, Å³/atom: 16.7

***

What total energy values result from the calculations? In sequence: -5.6057, -5.7001, -5.7008, -7.5724, -7.6293, -7.0721, -7.3339, -5.9355, -7.2993, -6.4293, -5.7397, -5.9657, -6.0248, -7.1295, -6.4206, -5.9374, -7.2899, -7.2387 eV/atom.